Entry from Materials Project: crystalline MgTi4MnZnNiO12 at its relaxed geometry (PBE with a Hubbard U).

Unit cell a=5.1264 b=5.5628 c=17.1546 alpha=87.09 beta=81.38 gamma=62.59
Element x y z (fractional)
1 O 0.0653 0.8172 0.4427
2 Ti 0.2818 0.6465 0.7882
3 O 0.9933 0.8502 0.8910
4 Mn 0.4616 0.4852 0.5905
5 Zn 0.0403 0.7578 0.1611
6 O 0.5409 0.7530 0.5092
7 O 0.5086 0.9023 0.3596
8 Ti 0.7137 0.8503 0.7145
9 O 0.4644 0.2508 0.4862
10 O 0.4928 0.5944 0.1409
11 O 0.4644 0.7508 0.9862
12 O 0.9436 0.6766 0.0557
13 O 0.4336 0.4370 0.3066
14 O 0.0653 0.3171 0.9427
15 Ni 0.9743 0.7161 0.3375
16 O 0.0365 0.5019 0.7642
17 O 0.5085 0.4023 0.8596
18 O 0.5612 0.0710 0.1970
19 O 0.4337 0.9370 0.8066
20 Mg 0.5322 0.0275 0.9101
21 Ni 0.9744 0.2160 0.8374
22 O 0.0365 0.0019 0.2643
23 O 0.9933 0.3502 0.3910
24 Ti 0.7848 0.8986 0.5341
25 Zn 0.0403 0.2578 0.6611
26 O 0.9575 0.5029 0.2384
27 Ti 0.7849 0.3985 0.0341
28 Ti 0.2208 0.1037 0.4633
29 O 0.4929 0.0945 0.6408
30 Ti 0.2818 0.1465 0.2881
31 O 0.9576 0.0028 0.7383
32 Ti 0.2208 0.6037 0.9633
33 O 0.9928 0.1572 0.1096
34 O 0.9928 0.6572 0.6095
35 Mg 0.5322 0.5275 0.4101
36 O 0.5611 0.5712 0.6970
37 O 0.5408 0.2530 0.0092
38 Mn 0.4617 0.9850 0.0904
39 Ti 0.7137 0.3503 0.2144
40 O 0.9436 0.1767 0.5557

Properties
- Offset from the most stable computed form: 0 meV/atom
- Size of the total moment: 0.0000 μB per atom
- ΔE_f: -2.927 eV per atom
- Total energy after the MP2020 corrections: -8.36 eV/atom